No. 1
This record from Materials Project describes a relaxed LiNiPO4 crystal. The functional is GGA+U.

abc: 9.934 9.934 16.516
angles: 80.89 80.89 59.74
Fractional positions:
Li (0.266, 0.883, 0.127)
Li (0.380, 0.279, 0.627)
O (0.599, 0.314, 0.774)
Ni (0.301, 0.653, 0.008)
Ni (0.095, 0.745, 0.248)
Ni (0.590, 0.700, 0.247)
P (0.419, 0.040, 0.187)
P (0.913, 0.100, 0.192)
Li (0.890, 0.504, 0.377)
P (0.923, 0.598, 0.192)
O (0.082, 0.445, 0.201)
P (0.658, 0.546, 0.940)
O (0.841, 0.603, 0.118)
O (0.272, 0.484, 0.865)
O (0.494, 0.233, 0.518)
Li (0.832, 0.000, 0.376)
O (0.233, 0.494, 0.018)
O (0.135, 0.345, 0.955)
O (0.314, 0.111, 0.267)
Li (0.393, 0.499, 0.381)
O (0.657, 0.330, 0.622)
O (0.111, 0.314, 0.767)
O (0.987, 0.237, 0.514)
O (0.275, 0.994, 0.861)
O (0.985, 0.775, 0.361)
O (0.093, 0.855, 0.612)
O (0.159, 0.336, 0.614)
O (0.811, 0.603, 0.270)
O (0.374, 0.454, 0.680)
P (0.159, 0.490, 0.942)
O (0.535, 0.578, 0.699)
O (0.638, 0.997, 0.430)
Ni (0.702, 0.805, 0.505)
Ni (0.185, 0.565, 0.757)
Li (0.336, 0.993, 0.378)
O (0.445, 0.082, 0.701)
Li (0.783, 0.936, 0.124)
P (0.040, 0.419, 0.687)
Ni (0.204, 0.807, 0.503)
O (0.923, 0.744, 0.513)
O (0.744, 0.923, 0.013)
P (0.490, 0.159, 0.442)
Li (0.499, 0.393, 0.881)
O (0.143, 0.843, 0.946)
Ni (0.745, 0.095, 0.748)
Ni (0.565, 0.185, 0.257)
O (0.949, 0.742, 0.179)
O (0.997, 0.638, 0.930)
O (0.603, 0.841, 0.618)
O (0.497, 0.561, 0.935)
O (0.056, 0.504, 0.431)
O (0.855, 0.093, 0.112)
O (0.746, 0.425, 0.012)
Li (0.000, 0.832, 0.876)
P (0.990, 0.162, 0.437)
O (0.763, 0.486, 0.859)
O (0.075, 0.954, 0.207)
O (0.345, 0.135, 0.455)
O (0.139, 0.000, 0.429)
O (0.248, 0.932, 0.683)
Li (0.504, 0.890, 0.877)
O (0.000, 0.139, 0.929)
P (0.100, 0.913, 0.692)
O (0.104, 0.791, 0.764)
P (0.538, 0.422, 0.694)
O (0.314, 0.599, 0.274)
O (0.336, 0.159, 0.114)
O (0.708, 0.635, 0.454)
O (0.484, 0.272, 0.365)
O (0.583, 0.020, 0.194)
O (0.020, 0.583, 0.694)
O (0.635, 0.708, 0.954)
O (0.843, 0.143, 0.446)
O (0.436, 0.880, 0.177)
Ni (0.807, 0.204, 0.003)
Li (0.936, 0.783, 0.624)
P (0.663, 0.044, 0.940)
P (0.422, 0.538, 0.194)
O (0.504, 0.056, 0.931)
Ni (0.653, 0.301, 0.508)
O (0.486, 0.763, 0.359)
Ni (0.145, 0.308, 0.502)
O (0.742, 0.949, 0.679)
Li (0.441, 0.773, 0.626)
O (0.425, 0.746, 0.512)
O (0.603, 0.811, 0.770)
Ni (0.700, 0.590, 0.747)
P (0.044, 0.663, 0.440)
O (0.237, 0.987, 0.014)
O (0.578, 0.535, 0.199)
O (0.880, 0.436, 0.677)
Ni (0.088, 0.244, 0.246)
P (0.598, 0.923, 0.692)
O (0.454, 0.374, 0.180)
O (0.561, 0.497, 0.435)
Li (0.883, 0.266, 0.627)
Ni (0.805, 0.702, 0.005)
Li (0.993, 0.336, 0.878)
P (0.546, 0.658, 0.440)
Li (0.773, 0.441, 0.126)
O (0.932, 0.248, 0.183)
O (0.330, 0.657, 0.122)
Ni (0.244, 0.088, 0.746)
O (0.775, 0.985, 0.861)
Ni (0.308, 0.145, 0.002)
O (0.994, 0.275, 0.361)
O (0.207, 0.634, 0.456)
O (0.634, 0.207, 0.956)
O (0.954, 0.075, 0.707)
Li (0.279, 0.380, 0.127)
O (0.791, 0.104, 0.264)
P (0.162, 0.990, 0.937)

Values from the calculation:
- E_form (eV/atom) = -2.30
- energy above the lowest structure with this stoichiometry (meV per atom) = 67.9
- symmetry = Cc (9)
- calculated total energy (eV/atom) = -6.241


No. 2
This record from Materials Project describes a relaxed LiNiPO4 crystal. The functional is GGA+U.

abc: 4.786 7.365 17.632
angles: 87.40 90.00 90.00
Fractional positions:
O (0.421, 0.575, 0.083)
O (0.487, 0.212, 0.421)
O (0.494, 0.412, 0.725)
O (0.098, 0.828, 0.488)
P (0.691, 0.225, 0.931)
O (0.987, 0.788, 0.079)
O (0.006, 0.073, 0.207)
Ni (0.350, 0.497, 0.827)
Li (0.220, 0.863, 0.224)
O (0.050, 0.892, 0.629)
O (0.598, 0.172, 0.012)
O (0.039, 0.261, 0.691)
O (0.506, 0.927, 0.293)
Li (0.283, 0.346, 0.014)
Ni (0.650, 0.503, 0.173)
O (0.040, 0.280, 0.096)
O (0.994, 0.588, 0.775)
O (0.402, 0.828, 0.988)
Li (0.217, 0.346, 0.514)
O (0.494, 0.073, 0.707)
O (0.961, 0.739, 0.309)
Li (0.280, 0.863, 0.724)
Ni (0.786, 0.042, 0.100)
P (0.309, 0.775, 0.069)
P (0.642, 0.745, 0.321)
Li (0.780, 0.137, 0.776)
O (0.506, 0.588, 0.275)
P (0.858, 0.745, 0.821)
Li (0.717, 0.654, 0.986)
P (0.809, 0.225, 0.431)
Li (0.720, 0.137, 0.276)
Ni (0.714, 0.042, 0.600)
O (0.461, 0.261, 0.191)
O (0.513, 0.788, 0.579)
P (0.191, 0.775, 0.569)
Li (0.783, 0.654, 0.486)
P (0.142, 0.255, 0.179)
O (0.450, 0.892, 0.129)
O (0.921, 0.425, 0.417)
Ni (0.150, 0.497, 0.327)
O (0.460, 0.280, 0.596)
O (0.013, 0.212, 0.921)
O (0.079, 0.575, 0.583)
O (0.960, 0.720, 0.904)
O (0.950, 0.108, 0.371)
O (0.006, 0.412, 0.225)
O (0.539, 0.739, 0.809)
O (0.994, 0.927, 0.793)
Ni (0.850, 0.503, 0.673)
Ni (0.286, 0.958, 0.400)
Ni (0.214, 0.958, 0.900)
P (0.358, 0.255, 0.679)
O (0.540, 0.720, 0.404)
O (0.902, 0.172, 0.512)
O (0.579, 0.425, 0.917)
O (0.550, 0.108, 0.871)

Values from the calculation:
- E_form (eV/atom) = -2.28
- energy above the lowest structure with this stoichiometry (meV per atom) = 86.4
- symmetry = P2_1/c (14)
- calculated total energy (eV/atom) = -6.223


No. 3
This record from Materials Project describes a relaxed LiNiP2O7 crystal. The functional is GGA+U.

abc: 5.109 8.285 13.752
angles: 69.04 90.00 90.00
Fractional positions:
Li (0.515, 0.432, 0.840)
O (0.327, 0.762, 0.430)
P (0.025, 0.305, 0.978)
P (0.458, 0.821, 0.200)
O (0.523, 0.835, 0.081)
O (0.521, 0.005, 0.193)
O (0.477, 0.835, 0.581)
O (0.362, 0.687, 0.775)
Li (0.485, 0.432, 0.340)
P (0.513, 0.702, 0.521)
O (0.788, 0.276, 0.746)
Ni (0.007, 0.718, 0.858)
O (0.982, 0.151, 0.928)
Li (0.073, 0.986, 0.663)
O (0.460, 0.522, 0.600)
O (0.878, 0.230, 0.080)
O (0.100, 0.466, 0.398)
O (0.041, 0.992, 0.805)
O (0.018, 0.151, 0.428)
P (0.542, 0.821, 0.700)
P (0.980, 0.173, 0.309)
O (0.479, 0.005, 0.693)
Ni (0.481, 0.267, 0.639)
O (0.800, 0.710, 0.487)
O (0.679, 0.318, 0.493)
O (0.638, 0.687, 0.275)
O (0.200, 0.710, 0.987)
O (0.321, 0.318, 0.993)
O (0.540, 0.522, 0.100)
Li (0.927, 0.986, 0.163)
P (0.020, 0.173, 0.809)
O (0.277, 0.274, 0.772)
Ni (0.993, 0.718, 0.358)
O (0.835, 0.778, 0.716)
O (0.165, 0.778, 0.216)
O (0.900, 0.466, 0.898)
O (0.212, 0.276, 0.246)
O (0.122, 0.230, 0.580)
O (0.723, 0.274, 0.272)
Ni (0.519, 0.267, 0.139)
O (0.673, 0.762, 0.930)
P (0.487, 0.702, 0.021)
O (0.959, 0.992, 0.305)
P (0.975, 0.305, 0.478)

Values from the calculation:
- E_form (eV/atom) = -2.27
- energy above the lowest structure with this stoichiometry (meV per atom) = 32.7
- symmetry = Pc (7)
- calculated total energy (eV/atom) = -6.429


No. 4
This record from Materials Project describes a relaxed LiNi3P3O11 crystal. The functional is GGA+U.

abc: 9.515 9.742 10.124
angles: 60.31 90.00 90.00
Fractional positions:
P (0.939, 0.595, 0.258)
O (0.002, 0.085, 0.084)
O (0.481, 0.268, 0.696)
O (0.500, 0.888, 0.936)
P (0.075, 0.238, 0.072)
O (0.000, 0.888, 0.436)
O (0.971, 0.543, 0.637)
O (0.228, 0.879, 0.296)
O (0.976, 0.618, 0.085)
Ni (0.632, 0.917, 0.764)
O (0.498, 0.085, 0.584)
Ni (0.872, 0.094, 0.899)
Li (0.322, 0.681, 0.298)
O (0.725, 0.235, 0.914)
O (0.476, 0.382, 0.415)
P (0.561, 0.595, 0.758)
O (0.719, 0.578, 0.773)
O (0.775, 0.235, 0.414)
O (0.524, 0.618, 0.585)
O (0.772, 0.121, 0.704)
O (0.219, 0.422, 0.727)
O (0.529, 0.543, 0.137)
O (0.500, 0.112, 0.064)
P (0.338, 0.889, 0.934)
Li (0.822, 0.319, 0.202)
O (0.781, 0.578, 0.273)
O (0.229, 0.051, 0.410)
O (0.486, 0.246, 0.255)
O (0.986, 0.754, 0.245)
Ni (0.366, 0.271, 0.873)
O (0.024, 0.382, 0.915)
P (0.662, 0.111, 0.066)
O (0.728, 0.121, 0.204)
Ni (0.866, 0.729, 0.627)
P (0.925, 0.762, 0.928)
O (0.225, 0.765, 0.586)
P (0.439, 0.405, 0.242)
O (0.519, 0.732, 0.304)
Li (0.678, 0.319, 0.702)
Ni (0.868, 0.917, 0.264)
O (0.765, 0.775, 0.935)
O (0.014, 0.246, 0.755)
Ni (0.134, 0.271, 0.373)
Ni (0.628, 0.094, 0.399)
O (0.729, 0.949, 0.090)
P (0.575, 0.762, 0.428)
O (0.235, 0.225, 0.065)
O (0.514, 0.754, 0.745)
Ni (0.372, 0.906, 0.601)
O (0.281, 0.422, 0.227)
Ni (0.368, 0.083, 0.236)
O (0.019, 0.268, 0.196)
O (0.271, 0.051, 0.910)
Ni (0.128, 0.906, 0.101)
O (0.471, 0.457, 0.863)
O (0.735, 0.775, 0.435)
O (0.272, 0.879, 0.796)
P (0.162, 0.889, 0.434)
O (0.981, 0.732, 0.804)
O (0.998, 0.915, 0.916)
O (0.000, 0.112, 0.564)
O (0.029, 0.457, 0.363)
O (0.275, 0.765, 0.086)
O (0.771, 0.949, 0.590)
Ni (0.634, 0.729, 0.127)
O (0.265, 0.225, 0.565)
P (0.425, 0.238, 0.572)
O (0.502, 0.915, 0.416)
Ni (0.132, 0.083, 0.736)
Li (0.178, 0.681, 0.798)
P (0.838, 0.111, 0.566)
P (0.061, 0.405, 0.742)

Values from the calculation:
- E_form (eV/atom) = -2.26
- energy above the lowest structure with this stoichiometry (meV per atom) = 0.0
- symmetry = P2_1/c (14)
- calculated total energy (eV/atom) = -6.409


No. 5
This record from Materials Project describes a relaxed LiNiPO4 crystal. The functional is GGA+U.

abc: 5.438 6.226 5.438
angles: 76.58 62.06 103.42
Fractional positions:
O (0.877, 0.608, 0.671)
P (0.121, 0.250, 0.121)
O (0.202, 0.913, 0.755)
Ni (0.187, 0.750, 0.187)
O (0.269, 0.392, 0.779)
O (0.779, 0.108, 0.269)
O (0.671, 0.892, 0.877)
Li (0.812, 0.250, 0.812)
P (0.871, 0.750, 0.871)
O (0.289, 0.087, 0.167)
Li (0.562, 0.750, 0.562)
Ni (0.437, 0.250, 0.437)
O (0.755, 0.587, 0.202)
O (0.167, 0.413, 0.289)

Values from the calculation:
- E_form (eV/atom) = -2.29
- energy above the lowest structure with this stoichiometry (meV per atom) = 72.0
- symmetry = Fdd2 (43)
- calculated total energy (eV/atom) = -6.237


No. 6
This record from Materials Project describes a relaxed LiNiPO4 crystal. The functional is GGA+U.

abc: 5.006 8.901 8.297
angles: 108.62 90.00 90.00
Fractional positions:
O (0.745, 0.224, 0.208)
P (0.687, 0.865, 0.729)
Ni (0.342, 0.235, 0.476)
O (0.819, 0.885, 0.568)
P (0.179, 0.370, 0.864)
O (0.318, 0.353, 0.024)
P (0.313, 0.865, 0.229)
O (0.620, 0.849, 0.204)
O (0.764, 0.011, 0.883)
Ni (0.184, 0.733, 0.837)
Ni (0.816, 0.732, 0.336)
O (0.380, 0.849, 0.704)
P (0.821, 0.370, 0.364)
O (0.682, 0.353, 0.524)
Ni (0.658, 0.235, 0.975)
O (0.127, 0.385, 0.394)
O (0.200, 0.716, 0.267)
O (0.872, 0.385, 0.894)
Li (0.165, 0.993, 0.614)
O (0.800, 0.716, 0.767)
O (0.255, 0.224, 0.708)
O (0.181, 0.885, 0.069)
O (0.287, 0.520, 0.828)
O (0.713, 0.520, 0.328)
Li (0.323, 0.501, 0.257)
Li (0.677, 0.501, 0.757)
Li (0.835, 0.993, 0.114)
O (0.237, 0.011, 0.383)

Values from the calculation:
- E_form (eV/atom) = -2.33
- energy above the lowest structure with this stoichiometry (meV per atom) = 34.2
- symmetry = Pc (7)
- calculated total energy (eV/atom) = -6.275


No. 7
This record from Materials Project describes a relaxed LiNiP2O7 crystal. The functional is GGA+U.

abc: 6.314 6.314 13.600
angles: 76.98 76.98 80.86
Fractional positions:
O (0.129, 0.677, 0.526)
Li (0.221, 0.219, 0.167)
O (0.097, 0.698, 0.345)
O (0.278, 0.919, 0.615)
Ni (0.141, 0.416, 0.858)
Li (0.219, 0.221, 0.667)
O (0.903, 0.302, 0.655)
O (0.192, 0.561, 0.120)
O (0.561, 0.192, 0.620)
O (0.439, 0.808, 0.380)
O (0.871, 0.323, 0.474)
P (0.260, 0.873, 0.866)
O (0.824, 0.889, 0.173)
P (0.127, 0.740, 0.634)
Ni (0.416, 0.141, 0.358)
O (0.698, 0.097, 0.845)
O (0.889, 0.824, 0.673)
O (0.634, 0.592, 0.578)
P (0.353, 0.734, 0.086)
P (0.647, 0.266, 0.914)
O (0.204, 0.527, 0.704)
Li (0.779, 0.781, 0.833)
O (0.527, 0.204, 0.204)
P (0.266, 0.647, 0.414)
O (0.111, 0.176, 0.327)
O (0.677, 0.129, 0.026)
O (0.366, 0.408, 0.422)
O (0.592, 0.634, 0.078)
P (0.873, 0.260, 0.366)
P (0.740, 0.127, 0.134)
Li (0.781, 0.779, 0.333)
O (0.323, 0.871, 0.974)
O (0.473, 0.796, 0.796)
O (0.722, 0.081, 0.385)
O (0.408, 0.366, 0.922)
O (0.808, 0.439, 0.880)
O (0.796, 0.473, 0.296)
O (0.176, 0.111, 0.827)
O (0.302, 0.903, 0.155)
O (0.919, 0.278, 0.115)
Ni (0.859, 0.584, 0.142)
P (0.734, 0.353, 0.586)
Ni (0.584, 0.859, 0.642)
O (0.081, 0.722, 0.885)

Values from the calculation:
- E_form (eV/atom) = -2.26
- energy above the lowest structure with this stoichiometry (meV per atom) = 34.3
- symmetry = C2/c (15)
- calculated total energy (eV/atom) = -6.428


- E_form of number 7 (LiNiP2O7)?
  -2.26 eV/atom